Entry 1:
## CaNb4O8 (PBE)

Data for crystalline CaNb4O8 at its relaxed geometry.

Output
Energy of formation from the pure elements   -3721 kJ/mol of formula units

Cell and atoms, written as POSCAR:
```
CaNb4O8
1.0
7.1964 0.0000 0.0000
0.0000 10.4442 0.0000
0.0000 0.0000 13.3009
Nb O Ca
24 48 6
Direct
0.0000 0.0000 0.2225
0.2293 0.2193 0.6266
0.7293 0.7193 0.3734
0.2707 0.2807 0.3734
0.2754 0.2804 0.8738
0.2293 0.7807 0.6266
0.5000 0.5000 0.7775
0.5000 0.5000 0.4708
0.7246 0.7196 0.8738
0.7754 0.7804 0.1262
0.2707 0.7193 0.3734
0.2754 0.7196 0.8738
0.7246 0.2804 0.8738
0.2246 0.7804 0.1262
0.7293 0.2807 0.3734
0.0000 0.0000 0.5292
0.5000 0.5000 0.2731
0.0000 0.0000 0.0263
0.7707 0.2193 0.6266
0.7707 0.7807 0.6266
0.2246 0.2196 0.1262
0.7754 0.2196 0.1262
0.5000 0.5000 0.9737
0.0000 0.0000 0.7269
0.5000 0.1704 0.8775
0.3009 0.6316 0.5105
0.0000 0.6571 0.8768
0.5000 0.8429 0.1232
0.6886 0.3604 0.2374
0.0000 0.6660 0.6245
0.1987 0.8691 0.2634
0.5000 0.8296 0.8775
0.1987 0.1309 0.2634
0.8009 0.8684 0.4895
0.1968 0.8660 0.9881
0.6968 0.3660 0.0119
0.5000 0.1571 0.1232
0.1886 0.8604 0.7626
0.5000 0.8340 0.3755
0.1991 0.1316 0.4895
0.0000 0.3319 0.3789
0.3114 0.3604 0.2374
0.3032 0.6340 0.0119
0.0000 0.3296 0.1225
0.0000 0.6704 0.1225
0.6987 0.6309 0.7366
0.8114 0.1396 0.7626
0.8032 0.8660 0.9881
0.8013 0.8691 0.2634
0.8032 0.1340 0.9881
0.6968 0.6340 0.0119
0.8013 0.1309 0.2634
0.1968 0.1340 0.9881
0.3114 0.6396 0.2374
0.3032 0.3660 0.0119
0.0000 0.6681 0.3789
0.5000 0.1660 0.3755
0.5000 0.1681 0.6211
0.8009 0.1316 0.4895
0.1886 0.1396 0.7626
0.6987 0.3691 0.7366
0.3009 0.3684 0.5105
0.6886 0.6396 0.2374
0.6991 0.3684 0.5105
0.8114 0.8604 0.7626
0.5000 0.8319 0.6211
0.3013 0.3691 0.7366
0.3013 0.6309 0.7366
0.0000 0.3429 0.8768
0.1991 0.8684 0.4895
0.6991 0.6316 0.5105
0.0000 0.3340 0.6245
0.5000 0.0000 0.9840
0.0000 0.5000 0.4968
0.0000 0.5000 0.7476
0.5000 0.0000 0.5032
0.5000 0.0000 0.2524
0.0000 0.5000 0.0160
```


Entry 2:
## SbClF8 (PBE)

Data for crystalline SbClF8 at its relaxed geometry.

Output
Energy of formation from the pure elements   -1907 kJ/mol of formula units

Cell and atoms, written as POSCAR:
```
SbClF8
1.0
-1.5757 -5.1555 -0.6756
-2.0445 0.2327 5.3989
-9.2224 3.8417 -3.6528
F Cl Sb
16 2 2
Direct
0.1363 0.8112 0.1293
0.8887 0.2668 0.5799
0.5805 0.5200 0.1504
0.8637 0.1888 0.8707
0.4195 0.4800 0.8496
0.8233 0.7220 0.9253
0.7000 0.9714 0.4000
0.2721 0.9489 0.8994
0.1402 0.2008 0.3683
0.1767 0.2780 0.0747
0.7279 0.0511 0.1006
0.5666 0.4634 0.3721
0.1113 0.7332 0.4201
0.4334 0.5366 0.6279
0.3000 0.0286 0.6000
0.8598 0.7992 0.6317
0.4053 0.3831 0.2469
0.5947 0.6169 0.7531
0.0000 0.0000 0.5000
0.0000 0.0000 0.0000
```


Entry 3:
## CaTiF6 (PBE)

Data for crystalline CaTiF6 at its relaxed geometry.

Output
Energy of formation from the pure elements   -3059 kJ/mol of formula units

Cell and atoms, written as POSCAR:
```
CaTiF6
1.0
-2.4957 5.0015 1.5363
-5.1699 0.1768 2.6161
-0.5816 1.5647 5.5513
Ca F Ti
1 6 1
Direct
0.5000 0.5000 0.5000
0.7756 0.3183 0.1342
0.1342 0.7756 0.3183
0.6817 0.8658 0.2244
0.3183 0.1342 0.7756
0.8658 0.2244 0.6817
0.2244 0.6817 0.8658
0.0000 0.0000 0.0000
```


Entry 4:
## La2Si3Rh (PBE)

Data for crystalline La2Si3Rh at its relaxed geometry.

Output
Energy of formation from the pure elements   -535 kJ/mol of formula units

Cell and atoms, written as POSCAR:
```
La2Si3Rh
1.0
4.1737 -7.2291 0.0000
4.1737 7.2291 0.0000
0.0000 0.0000 4.3166
La Rh Si
4 2 6
Direct
0.5000 0.0000 0.5000
0.0000 0.5000 0.5000
0.0000 0.0000 0.5000
0.5000 0.5000 0.5000
0.6667 0.3333 0.0000
0.3333 0.6667 0.0000
0.8341 0.1659 0.0000
0.1659 0.8341 0.0000
0.1659 0.3318 0.0000
0.3318 0.1659 0.0000
0.8341 0.6682 0.0000
0.6682 0.8341 0.0000
```


Entry 5:
## MgSb4O10 (PBE)

Data for crystalline MgSb4O10 at its relaxed geometry.

Output
Relative energy among the computed polymorphs   0.062 eV per atom
Energy of formation from the pure elements   -2680 kJ/mol of formula units

Cell and atoms, written as POSCAR:
```
MgSb4O10
1.0
4.9187 -0.0341 -2.0140
-0.5657 5.2232 -1.5099
0.1271 0.0355 8.3569
Mg O Sb
1 10 4
Direct
0.5179 0.5071 0.5042
0.3466 0.3802 0.6561
0.1775 0.5146 0.2805
0.0250 0.0057 0.2405
0.4829 0.8987 0.5549
0.5861 0.2470 0.9854
0.3535 0.7223 0.0392
0.8479 0.4987 0.7270
0.7080 0.6314 0.3543
0.9820 0.0579 0.8663
0.6078 0.1707 0.3466
0.6624 0.2119 0.7641
0.3719 0.8461 0.2828
0.8338 0.3133 0.2341
0.1773 0.7445 0.7938
```


Entry 6:
## Sc3V (PBE)

Data for crystalline Sc3V at its relaxed geometry.

Output
Energy of formation from the pure elements   69 kJ/mol of formula units

Cell and atoms, written as POSCAR:
```
Sc3V
1.0
0.2911 6.3259 0.1423
-4.4449 -3.0417 3.3337
3.0494 -0.2271 3.8586
Sc V
6 2
Direct
0.8288 0.6575 0.7500
0.1713 0.8288 0.2500
0.1713 0.3425 0.2500
0.8288 0.1713 0.7500
0.3425 0.1713 0.7500
0.6575 0.8288 0.2500
0.6667 0.3333 0.2500
0.3333 0.6667 0.7500
```


Entry 7:
## Tl2MoCl6 (PBE)

Data for crystalline Tl2MoCl6 at its relaxed geometry.

Output
Energy of formation from the pure elements   -1195 kJ/mol of formula units

Cell and atoms, written as POSCAR:
```
Tl2MoCl6
1.0
0.0000 5.0314 5.0314
5.0314 0.0000 5.0314
5.0314 5.0314 0.0000
Cl Mo Tl
6 1 2
Direct
0.2380 0.2380 0.7620
0.2380 0.7620 0.7620
0.2380 0.7620 0.2380
0.7620 0.2380 0.7620
0.7620 0.2380 0.2380
0.7620 0.7620 0.2380
0.0000 0.0000 0.0000
0.2500 0.2500 0.2500
0.7500 0.7500 0.7500
```


Entry 8:
## SnTe3O8 (PBE)

Data for crystalline SnTe3O8 at its relaxed geometry.

Output
Energy of formation from the pure elements   -1913 kJ/mol of formula units

Cell and atoms, written as POSCAR:
```
SnTe3O8
1.0
1.2964 -3.9776 -8.9802
6.0129 -4.4617 6.4873
-9.4129 -1.2357 2.8316
O Sn Te
32 4 12
Direct
0.2337 0.0236 0.0715
0.7100 0.0478 0.4764
0.4764 0.7100 0.0478
0.0478 0.4764 0.7100
0.8298 0.5000 0.0000
0.9522 0.5236 0.2900
0.6622 0.2100 0.7337
0.5478 0.8378 0.5715
0.0000 0.1702 0.5000
0.5715 0.5478 0.8378
0.0236 0.0715 0.2337
0.2900 0.9522 0.5236
0.9285 0.7663 0.9764
0.9764 0.9285 0.7663
0.3378 0.7900 0.2663
0.7337 0.6622 0.2100
0.5236 0.2900 0.9522
0.7663 0.9764 0.9285
0.3298 0.3298 0.3298
0.7900 0.2663 0.3378
0.4285 0.4522 0.1622
0.1702 0.5000 0.0000
0.2663 0.3378 0.7900
0.4522 0.1622 0.4285
0.5000 0.0000 0.8298
0.2100 0.7337 0.6622
0.6702 0.6702 0.6702
0.1622 0.4285 0.4522
0.0000 0.8298 0.5000
0.8378 0.5715 0.5478
0.0715 0.2337 0.0236
0.5000 0.0000 0.1702
0.0000 0.5000 0.5000
0.5000 0.0000 0.5000
0.5000 0.5000 0.0000
0.0000 0.0000 0.0000
0.3015 0.7500 0.0515
0.2500 0.4485 0.1985
0.7500 0.5515 0.8015
0.0515 0.3015 0.7500
0.1985 0.2500 0.4485
0.2500 0.9485 0.6985
0.5515 0.8015 0.7500
0.6985 0.2500 0.9485
0.4485 0.1985 0.2500
0.8015 0.7500 0.5515
0.7500 0.0515 0.3015
0.9485 0.6985 0.2500
```


Entry 9:
## Na3Mg3AlS6O24 (PBE)

Data for crystalline Na3Mg3AlS6O24 at its relaxed geometry.

Output
Energy of formation from the pure elements   -8340 kJ/mol of formula units

Cell and atoms, written as POSCAR:
```
Na3Mg3AlS6O24
1.0
8.6132 -0.0113 0.0007
-4.3164 7.4573 -0.0004
0.0015 -0.0001 22.2639
O Mg S Na Al
72 9 18 9 3
Direct
0.5249 0.6862 0.2561
0.6826 0.5231 0.2445
0.8024 0.8181 0.9093
0.5049 0.8654 0.0758
0.8405 0.3075 0.5270
0.5070 0.6314 0.8630
0.1721 0.6890 0.7601
0.3115 0.4572 0.4696
0.6886 0.1620 0.0297
0.5044 0.3543 0.4264
0.5422 0.8547 0.4696
0.1803 0.1900 0.4118
0.1352 0.6408 0.0747
0.4736 0.3118 0.0296
0.1818 0.9835 0.9092
0.5427 0.6898 0.9711
0.4855 0.1263 0.6358
0.8484 0.4952 0.4271
0.0389 0.8089 0.6942
0.3686 0.8756 0.8629
0.7884 0.8191 0.1968
0.1876 0.2279 0.6969
0.4675 0.1580 0.5273
0.0322 0.2130 0.1964
0.1638 0.4738 0.2569
0.1324 0.4943 0.5745
0.8300 0.0312 0.0852
0.4773 0.3590 0.1392
0.0104 0.8194 0.4128
0.6768 0.1512 0.7454
0.4751 0.1606 0.2446
0.6458 0.1504 0.4261
0.9694 0.1692 0.5860
0.8577 0.3630 0.9238
0.1474 0.4575 0.9710
0.6363 0.4943 0.9239
0.8110 0.0220 0.8050
0.1843 0.9723 0.1956
0.2109 0.1892 0.8051
0.2006 0.1702 0.0850
0.3102 0.8528 0.9710
0.8403 0.5295 0.0275
0.3609 0.4951 0.0758
0.9682 0.1812 0.3037
0.8481 0.5246 0.7450
0.5058 0.1426 0.9240
0.8741 0.3637 0.6351
0.6403 0.1180 0.1392
0.1973 0.0258 0.5853
0.1393 0.6882 0.4741
0.9792 0.7927 0.8029
0.6948 0.5323 0.5281
0.3552 0.8635 0.5752
0.3162 0.8392 0.2561
0.1248 0.4933 0.8628
0.8311 0.7987 0.5857
0.3717 0.4743 0.3613
0.8376 0.3109 0.2438
0.5261 0.8970 0.3612
0.9692 0.7988 0.0843
0.5161 0.8278 0.7609
0.4750 0.3241 0.7456
0.7720 0.9592 0.6969
0.3117 0.4838 0.7609
0.1082 0.6281 0.3656
0.2117 0.0299 0.3035
0.5061 0.6400 0.5749
0.6403 0.5140 0.6363
0.8152 0.7879 0.3046
0.8801 0.5191 0.1364
0.0159 0.1981 0.9094
0.8100 0.9910 0.4120
0.9990 0.0081 0.6531
0.3333 0.6669 0.0173
0.3264 0.6659 0.3215
0.6730 0.3390 0.1801
0.3388 0.6659 0.5168
0.0001 0.0006 0.8514
0.9999 0.9971 0.1428
0.0000 0.9978 0.3542
0.6639 0.3305 0.6884
0.0397 0.3784 0.9171
0.0005 0.2942 0.2499
0.3399 0.3700 0.4178
0.2903 0.9964 0.2496
0.9559 0.6214 0.0806
0.3786 0.3345 0.0819
0.6640 0.6191 0.5822
0.0301 0.6601 0.4200
0.6985 0.9928 0.7524
0.6656 0.0442 0.0819
0.7090 0.7065 0.2502
0.2945 0.3019 0.7525
0.0072 0.7051 0.7512
0.6217 0.6612 0.9172
0.3387 0.9603 0.9172
0.9523 0.3304 0.5815
0.3799 0.0467 0.5818
0.6300 0.9700 0.4178
0.6780 0.3436 0.3374
0.6658 0.3323 0.8318
0.3212 0.6654 0.1594
0.0331 0.6992 0.5860
0.9989 0.0094 0.4991
0.3445 0.6655 0.6705
0.0000 0.9992 0.9979
0.3633 0.3619 0.2488
0.6365 0.9988 0.2490
0.3342 0.6667 0.8171
0.6647 0.3311 0.4831
0.6676 0.3344 0.9806
```


Entry 10:
## NdTa3O9 (PBE)

Data for crystalline NdTa3O9 at its relaxed geometry.

Output
Relative energy among the computed polymorphs   0.038 eV per atom
Energy of formation from the pure elements   -4355 kJ/mol of formula units

Cell and atoms, written as POSCAR:
```
NdTa3O9
1.0
11.9936 -0.0040 -0.0047
3.9979 7.9205 -0.0016
0.0019 0.0000 7.8998
O Nd Ta
36 4 12
Direct
0.3363 0.0021 0.2502
0.2428 0.2717 0.4999
0.2429 0.2702 0.9999
0.9157 0.7502 0.2523
0.0776 0.7501 0.0000
0.8246 0.4937 0.7376
0.9929 0.0008 0.2652
0.6669 0.9981 0.7388
0.4214 0.7422 0.0000
0.9033 0.2532 0.0000
0.9928 0.0007 0.7348
0.2611 0.7288 0.7298
0.6664 0.9983 0.2613
0.3363 0.0020 0.7497
0.5907 0.7325 0.7303
0.7491 0.2430 0.2980
0.5916 0.2503 0.9999
0.0779 0.2712 0.7771
0.1560 0.5074 0.7597
0.4208 0.7316 0.5000
0.7492 0.2429 0.7019
0.8247 0.4938 0.2626
0.9162 0.2441 0.5000
0.5907 0.7324 0.2700
0.5661 0.2574 0.5000
0.0735 0.7556 0.5000
0.5046 0.4968 0.2727
0.4087 0.2758 0.2604
0.2610 0.7290 0.2703
0.5048 0.4967 0.7272
0.1558 0.5076 0.2402
0.7633 0.7245 0.0002
0.9161 0.7490 0.7486
0.4089 0.2757 0.7395
0.7535 0.7363 0.5002
0.0779 0.2713 0.2227
0.0293 0.5051 0.9997
0.8564 0.0011 0.4997
0.6839 0.5009 0.5000
0.3615 0.4973 0.5000
0.7541 0.7545 0.7535
0.5888 0.2462 0.7569
0.2622 0.2430 0.2520
0.0974 0.7522 0.2491
0.7540 0.7547 0.2468
0.4257 0.7578 0.7563
0.2623 0.2429 0.7478
0.9290 0.2506 0.2434
0.9290 0.2504 0.7566
0.5886 0.2463 0.2429
0.0974 0.7522 0.7508
0.4257 0.7578 0.2437
```


Entry 11:
## Be3Tc (PBE)

Data for crystalline Be3Tc at its relaxed geometry.

Output
Energy of formation from the pure elements   -103 kJ/mol of formula units

Cell and atoms, written as POSCAR:
```
Be3Tc
1.0
3.3786 0.0000 0.0000
0.0000 3.3786 0.0000
0.0000 0.0000 3.3786
Be Tc
3 1
Direct
0.5000 0.5000 0.0000
0.5000 0.0000 0.5000
0.0000 0.5000 0.5000
0.0000 0.0000 0.0000
```